Entry from the Materials Project: an optimized crystal structure of TiPO4 (PBE).

Space-group type: R-3c (167)
E_tot in eV/cell: -288.4
Volume in Å³ per atom: 12.56
Formation enthalpy at 0 K in meV per atom: -2951.9
Theoretical density in kg/m3: 3148
Spin magnetization in μB per formula unit: 0.65

Lattice parameters (Å, degrees): 8.507 8.507 8.507 61.71 61.71 61.71
Fractional positions:
Ti  0.000  0.000  0.000
Ti  0.500  0.500  0.500
Ti  0.857  0.857  0.857
Ti  0.643  0.643  0.643
Ti  0.357  0.357  0.357
Ti  0.143  0.143  0.143
P  0.750  0.456  0.044
P  0.456  0.044  0.750
P  0.044  0.750  0.456
P  0.956  0.250  0.544
P  0.544  0.956  0.250
P  0.250  0.544  0.956
O  0.888  0.679  0.498
O  0.679  0.498  0.888
O  0.941  0.094  0.742
O  0.498  0.888  0.679
O  0.998  0.179  0.388
O  0.758  0.406  0.559
O  0.742  0.941  0.094
O  0.559  0.758  0.406
O  0.821  0.612  0.002
O  0.406  0.559  0.758
O  0.906  0.258  0.059
O  0.612  0.002  0.821
O  0.388  0.998  0.179
O  0.094  0.742  0.941
O  0.594  0.441  0.242
O  0.179  0.388  0.998
O  0.441  0.242  0.594
O  0.258  0.059  0.906
O  0.242  0.594  0.441
O  0.002  0.821  0.612
O  0.502  0.112  0.321
O  0.059  0.906  0.258
O  0.321  0.502  0.112
O  0.112  0.321  0.502

***

Entry from the Materials Project: an optimized crystal structure of Ti3ZnP3O13 (PBE).

Space-group type: P2_1/m (11)
E_tot in eV/cell: -305.3
Volume in Å³ per atom: 12.85
Formation enthalpy at 0 K in meV per atom: -2804.6
Theoretical density in kg/m3: 3295
Spin magnetization in μB per formula unit: 3.00

Lattice parameters (Å, degrees): 6.409 7.719 10.542 80.19 90.00 90.00
Fractional positions:
Ti  0.250  0.647  0.200
Ti  0.750  0.353  0.800
Ti  0.250  0.211  0.440
Ti  0.500  0.000  0.000
Ti  0.750  0.789  0.560
Ti  0.000  0.000  0.000
Zn  0.750  0.381  0.151
Zn  0.250  0.619  0.849
P  0.250  0.781  0.487
P  0.750  0.219  0.513
P  0.250  0.265  0.763
P  0.750  0.735  0.237
P  0.750  0.688  0.881
P  0.250  0.312  0.119
O  0.750  0.649  0.741
O  0.555  0.253  0.428
O  0.250  0.219  0.627
O  0.549  0.787  0.908
O  0.750  0.335  0.617
O  0.750  0.133  0.903
O  0.250  0.665  0.383
O  0.049  0.213  0.092
O  0.250  0.979  0.418
O  0.750  0.021  0.582
O  0.061  0.379  0.789
O  0.250  0.867  0.097
O  0.561  0.621  0.211
O  0.750  0.495  0.957
O  0.750  0.781  0.373
O  0.451  0.213  0.092
O  0.945  0.253  0.428
O  0.445  0.747  0.572
O  0.439  0.379  0.789
O  0.250  0.351  0.259
O  0.750  0.909  0.134
O  0.250  0.091  0.866
O  0.939  0.621  0.211
O  0.951  0.787  0.908
O  0.055  0.747  0.572
O  0.250  0.505  0.043

***

Entry from the Materials Project: an optimized crystal structure of TiZnP2O7 (PBE).

Space-group type: P-1 (2)
E_tot in eV/cell: -153.3
Volume in Å³ per atom: 12.09
Polymorph energy (0 for the lowest one) in eV per formula unit: 0.76
Formation enthalpy at 0 K in meV per atom: -2440.9
Theoretical density in kg/m3: 3586
Spin magnetization in μB per formula unit: 0.00

Lattice parameters (Å, degrees): 6.014 6.539 7.316 82.28 84.24 69.16
Fractional positions:
Ti  0.248  0.147  0.195
Ti  0.752  0.853  0.805
Zn  0.367  0.655  0.668
Zn  0.633  0.345  0.332
P  0.180  0.671  0.097
P  0.820  0.329  0.903
P  0.239  0.207  0.615
P  0.761  0.793  0.385
O  0.115  0.703  0.893
O  0.885  0.297  0.107
O  0.275  0.838  0.148
O  0.725  0.162  0.852
O  0.347  0.433  0.153
O  0.653  0.567  0.847
O  0.617  0.635  0.433
O  0.383  0.365  0.567
O  0.085  0.212  0.459
O  0.915  0.788  0.541
O  0.072  0.306  0.792
O  0.605  0.028  0.315
O  0.395  0.972  0.685
O  0.928  0.694  0.208

***

Entry from the Materials Project: an optimized crystal structure of TiZnP2O7 (PBE).

Space-group type: P-1 (2)
E_tot in eV/cell: -154.4
Volume in Å³ per atom: 12.00
Polymorph energy (0 for the lowest one) in eV per formula unit: 0.25
Formation enthalpy at 0 K in meV per atom: -2488.0
Theoretical density in kg/m3: 3613
Spin magnetization in μB per formula unit: 1.52

Lattice parameters (Å, degrees): 6.520 6.606 6.755 83.90 66.89 81.06
Fractional positions:
Ti  0.900  0.351  0.220
Ti  0.100  0.649  0.780
Zn  0.706  0.124  0.831
Zn  0.294  0.876  0.169
P  0.777  0.861  0.240
P  0.223  0.139  0.760
P  0.353  0.387  0.337
P  0.647  0.613  0.663
O  0.377  0.218  0.524
O  0.623  0.782  0.476
O  0.917  0.021  0.255
O  0.083  0.979  0.745
O  0.749  0.406  0.551
O  0.251  0.594  0.449
O  0.403  0.612  0.822
O  0.597  0.388  0.178
O  0.391  0.051  0.866
O  0.609  0.949  0.134
O  0.066  0.330  0.874
O  0.934  0.670  0.126
O  0.796  0.693  0.753
O  0.204  0.307  0.247

***

Entry from the Materials Project: an optimized crystal structure of TiZnP2O7 (PBE).

Space-group type: P2_1/c (14)
E_tot in eV/cell: -309.7
Volume in Å³ per atom: 11.74
Polymorph energy (0 for the lowest one) in eV per formula unit: 0.00
Formation enthalpy at 0 K in meV per atom: -2510.3
Theoretical density in kg/m3: 3694
Spin magnetization in μB per formula unit: 2.00

Lattice parameters (Å, degrees): 8.674 7.046 9.197 66.75 90.00 90.00
Fractional positions:
Ti  0.069  0.220  0.401
Ti  0.931  0.780  0.599
Ti  0.569  0.780  0.099
Ti  0.431  0.220  0.901
Zn  0.943  0.697  0.184
Zn  0.443  0.303  0.316
Zn  0.557  0.697  0.684
Zn  0.057  0.303  0.816
P  0.738  0.063  0.752
P  0.223  0.528  0.034
P  0.762  0.063  0.252
P  0.277  0.528  0.534
P  0.238  0.937  0.748
P  0.723  0.472  0.466
P  0.777  0.472  0.966
P  0.262  0.937  0.248
O  0.175  0.747  0.902
O  0.609  0.113  0.306
O  0.891  0.113  0.806
O  0.382  0.550  0.102
O  0.825  0.253  0.098
O  0.108  0.974  0.627
O  0.618  0.450  0.898
O  0.092  0.482  0.157
O  0.272  0.373  0.454
O  0.892  0.026  0.373
O  0.392  0.974  0.127
O  0.757  0.882  0.197
O  0.257  0.118  0.303
O  0.325  0.747  0.402
O  0.608  0.026  0.873
O  0.109  0.887  0.194
O  0.243  0.118  0.803
O  0.908  0.518  0.843
O  0.228  0.373  0.954
O  0.772  0.627  0.046
O  0.882  0.450  0.398
O  0.408  0.482  0.657
O  0.592  0.518  0.343
O  0.391  0.887  0.694
O  0.743  0.882  0.697
O  0.118  0.550  0.602
O  0.728  0.627  0.546
O  0.675  0.253  0.598

***

Entry from the Materials Project: an optimized crystal structure of TiZnPO5 (PBE).

Space-group type: P-1 (2)
E_tot in eV/cell: -113.9
Volume in Å³ per atom: 11.82
Formation enthalpy at 0 K in meV per atom: -2636.0
Theoretical density in kg/m3: 3939
Spin magnetization in μB per formula unit: 1.00

Lattice parameters (Å, degrees): 5.324 5.447 7.239 105.85 105.54 98.36
Fractional positions:
Ti  0.500  0.000  0.500
Ti  0.500  0.000  0.000
Zn  0.197  0.340  0.753
Zn  0.803  0.660  0.247
P  0.837  0.650  0.748
P  0.163  0.350  0.252
O  0.638  0.670  0.870
O  0.807  0.830  0.617
O  0.362  0.330  0.130
O  0.193  0.170  0.383
O  0.199  0.645  0.383
O  0.864  0.292  0.109
O  0.801  0.355  0.617
O  0.136  0.708  0.891
O  0.592  0.914  0.250
O  0.408  0.086  0.750

***

Question: theoretical density of number 1 (TiPO4)?
Answer: 3148 kg/m3

***

Question: What is the volume in the fifth record?
Answer: 11.74 Å³ per atom